Entry 1:
16
Lattice="6.3170 0.0000 0.0000 -3.1585 5.4707 0.0000 0.0000 0.0000 10.4988" Properties=species:S:1:pos:R:3 comment="LiMg14Sn (PBE, relaxed)" magmom_total_mub_per_cell=0.00 dft_energy_ev_per_cell=-28.86 e_form_ev_per_atom=-0.033 e_above_lowest_polymorph_ev_per_fu=0.216 pbc="T T T"
Mg 3.1585 1.8280 1.3124
Mg 1.5781 0.9124 3.9534
Mg -1.5751 4.5613 6.5618
Mg 1.5781 0.9124 9.1701
Mg 3.1585 1.8187 6.5618
Mg 1.5831 4.5567 1.3124
Mg 4.7388 0.9124 3.9534
Mg 4.7388 0.9124 9.1701
Mg 0.0000 3.6458 3.9534
Mg -1.5831 4.5567 1.3124
Mg 3.1585 3.6471 9.1773
Mg 3.1585 3.6471 3.9462
Mg 1.5751 4.5613 6.5618
Mg 0.0000 3.6458 9.1701
Li 0.0000 1.8236 6.5618
Sn 0.0000 1.8236 1.3124

---

Entry 2:
16
Lattice="-6.1893 -0.6188 1.2392 2.9098 -4.2263 -3.6878 2.2621 -5.7818 8.4109" Properties=species:S:1:pos:R:3 comment="LiMg14Sn (PBE, relaxed)" magmom_total_mub_per_cell=0.00 dft_energy_ev_per_cell=-29.07 e_form_ev_per_atom=-0.047 e_above_lowest_polymorph_ev_per_fu=0.000 pbc="T T T"
Mg -3.8219 -3.3890 3.5751
Mg 1.3523 -5.1255 4.2341
Mg 0.7267 -5.1938 1.1089
Mg -1.7432 -5.4340 4.8545
Mg -1.2396 -8.3901 5.9304
Mg -2.8739 -2.5470 0.6463
Mg -2.6923 -6.2762 7.7751
Mg -1.4217 -4.6562 -1.1942
Mg 2.8067 -7.2390 2.3901
Mg -0.7298 -3.0782 2.9550
Mg 0.4005 -5.9673 7.1578
Mg -2.3688 -5.5038 1.7315
Mg 1.8571 -8.0829 5.3118
Mg -0.2870 -7.5491 3.0090
Sn 0.2192 -2.2357 0.0284
Li 1.6762 -4.3478 -1.8153

---

Entry 3:
16
Lattice="-3.2259 3.2626 2.6312 0.6175 -3.8324 5.5091 9.3181 6.4417 3.4368" Properties=species:S:1:pos:R:3 comment="SrLiMg6 (PBE, relaxed)" magmom_total_mub_per_cell=0.01 dft_energy_ev_per_cell=-25.56 e_form_ev_per_atom=0.053 e_above_lowest_polymorph_ev_per_fu=0.000 pbc="T T T"
Mg -0.1167 2.6657 1.8675
Mg 2.4746 3.3575 4.1866
Mg 0.8395 -0.4141 1.5427
Mg 8.0532 3.4376 5.6109
Mg 5.8073 0.8906 6.0156
Mg 5.5189 2.6801 3.4431
Mg 2.7733 1.5038 6.8513
Mg 7.4424 4.6622 8.6595
Mg 3.0854 2.1330 1.1380
Mg 1.1686 -2.4570 4.4793
Mg 7.1236 6.6409 5.8151
Mg 4.8511 3.9703 6.3404
Sr 0.2909 0.8178 4.6585
Sr 4.6412 5.9549 3.6223
Li 7.8715 5.4417 2.9032
Li 3.5212 0.3046 3.9394

---

Entry 4:
16
Lattice="5.3226 0.0000 0.0000 0.0000 6.6019 0.0000 0.0000 0.0000 11.9558" Properties=species:S:1:pos:R:3 comment="SrLiMg6 (PBE, relaxed)" magmom_total_mub_per_cell=0.01 dft_energy_ev_per_cell=-25.45 e_form_ev_per_atom=0.059 e_above_lowest_polymorph_ev_per_fu=0.054 pbc="T T T"
Mg 0.0000 0.0000 10.0636
Mg 0.0000 3.3009 4.0857
Mg 2.6613 1.6103 11.0185
Mg 0.0000 3.3009 9.9019
Mg 0.0000 5.0452 0.9122
Mg 0.0000 0.0000 3.9240
Mg 0.0000 1.5567 0.9122
Mg 2.6613 4.9112 5.0406
Mg 0.0000 4.8577 6.8901
Mg 2.6613 1.6907 5.0406
Mg 2.6613 4.9916 11.0185
Mg 0.0000 1.7442 6.8901
Sr 2.6613 0.0000 8.0196
Sr 2.6613 3.3009 2.0417
Li 2.6613 3.3009 7.9325
Li 2.6613 0.0000 1.9546

---

Entry 5:
16
Lattice="-2.0665 -3.4883 -2.9707 5.6888 -1.5787 -2.1035 0.9195 -7.3783 8.0243" Properties=species:S:1:pos:R:3 comment="LiMg6Ti (PBE, relaxed)" magmom_total_mub_per_cell=3.34 dft_energy_ev_per_cell=-37.06 e_form_ev_per_atom=0.109 e_above_lowest_polymorph_ev_per_fu=0.000 pbc="T T T"
Li 1.9668 -3.7822 -1.1792
Li -0.4179 -6.6819 3.8848
Mg 3.5667 -5.9664 0.2727
Mg 1.9239 -4.6898 4.1686
Mg 4.8380 -5.4985 3.0911
Mg 4.1204 -9.6816 4.2501
Mg 4.3085 -1.7900 -0.8953
Mg 0.3083 -2.4740 2.6906
Mg -0.8795 -2.9778 -0.1437
Mg 0.8162 -5.2031 1.2897
Mg 3.6125 -6.9525 5.6509
Mg 1.5338 -1.0200 0.1307
Mg 2.4247 -7.4563 2.8167
Mg 1.1820 -8.8662 5.3366
Ti 0.7672 -6.1558 6.6948
Ti 3.1518 -3.2561 1.6309

---

Entry 6:
16
Lattice="4.9919 0.0000 0.0000 0.0000 6.3925 0.0000 0.0000 0.0000 10.8437" Properties=species:S:1:pos:R:3 comment="LiMg6Ti (PBE, relaxed)" magmom_total_mub_per_cell=3.86 dft_energy_ev_per_cell=-36.99 e_form_ev_per_atom=0.114 e_above_lowest_polymorph_ev_per_fu=0.036 pbc="T T T"
Mg 0.0000 0.0000 7.2759
Mg 2.4959 4.7797 0.8970
Mg 0.0000 4.8176 9.9030
Mg 0.0000 3.1962 1.8541
Mg 0.0000 1.5749 9.9030
Mg 2.4959 1.5834 6.3189
Mg 0.0000 3.1962 7.2487
Mg 2.4959 1.6128 0.8970
Mg 0.0000 0.0000 1.8269
Mg 0.0000 1.6214 4.4812
Mg 0.0000 4.7711 4.4812
Mg 2.4959 4.8090 6.3189
Li 2.4959 0.0000 3.6274
Li 2.4959 3.1962 9.0492
Ti 2.4959 0.0000 9.0445
Ti 2.4959 3.1962 3.6227

---

Entry 7:
16
Lattice="6.3691 0.0000 0.0000 -3.1846 5.5158 0.0000 0.0000 0.0000 10.0568" Properties=species:S:1:pos:R:3 comment="LiMg14Ti (PBE, relaxed)" magmom_total_mub_per_cell=0.34 dft_energy_ev_per_cell=-31.49 e_form_ev_per_atom=0.045 e_above_lowest_polymorph_ev_per_fu=0.000 pbc="T T T"
Mg 1.5585 0.9388 8.8155
Mg 1.5850 4.6007 6.2855
Mg 0.0000 3.6382 3.7555
Mg 1.5585 0.9388 3.7555
Mg -1.5850 4.6007 6.2855
Mg 1.5753 4.6063 1.2571
Mg 3.1846 3.6772 8.8090
Mg -1.5753 4.6063 1.2571
Mg 3.1846 3.6772 3.7620
Mg 4.8106 0.9388 3.7555
Mg 3.1846 1.8302 6.2855
Mg 4.8106 0.9388 8.8155
Mg 3.1846 1.8190 1.2571
Mg 0.0000 3.6382 8.8155
Ti 0.0000 1.8386 1.2571
Li 0.0000 1.8386 6.2855

---

Entry 8:
16
Lattice="-3.2903 1.5290 -5.2146 3.1159 -5.5423 0.2934 -8.2415 -4.4268 3.9023" Properties=species:S:1:pos:R:3 comment="LiMg14Ti (PBE, relaxed)" magmom_total_mub_per_cell=1.12 dft_energy_ev_per_cell=-31.37 e_form_ev_per_atom=0.053 e_above_lowest_polymorph_ev_per_fu=0.119 pbc="T T T"
Mg -6.3071 -3.5922 -0.9392
Mg -2.0695 -4.7965 -0.0784
Mg -3.7322 -4.0691 -2.7102
Mg -0.6092 -4.1707 -2.7266
Mg -4.7463 -6.3684 -0.7923
Mg -6.2780 -7.0571 1.9143
Mg -2.1919 -1.3554 -2.8756
Mg -9.4755 -3.5477 -0.9065
Mg -7.9065 -6.3113 -0.7338
Mg -4.6613 -4.3598 1.6659
Mg -3.1047 -7.1319 1.8086
Mg -7.8139 -4.3251 1.7697
Mg -5.2975 -1.3035 -2.8847
Mg -3.6053 -2.0646 -0.2230
Li 1.0117 -4.9217 -0.1553
Ti -0.5403 -2.1463 -0.2847

---

Entry 9:
4
Lattice="0.0000 3.3906 3.3906 3.3906 0.0000 3.3906 3.3906 3.3906 0.0000" Properties=species:S:1:pos:R:3 comment="Li2MgTl (PBE, relaxed)" dft_energy_ev_per_cell=-8.56 e_form_ev_per_atom=-0.196 pbc="T T T"
Tl 3.3906 3.3906 3.3906
Li 5.0859 5.0859 5.0859
Li 1.6953 1.6953 1.6953
Mg 0.0000 0.0000 0.0000

---

Entry 10:
4
Lattice="0.0000 3.5025 3.5025 3.5025 0.0000 3.5025 3.5025 3.5025 0.0000" Properties=species:S:1:pos:R:3 comment="LiMg2Tl (PBE, relaxed)" magmom_total_mub_per_cell=0.00 dft_energy_ev_per_cell=-7.89 e_form_ev_per_atom=-0.104 pbc="T T T"
Mg 5.2537 5.2537 5.2537
Mg 1.7512 1.7512 1.7512
Tl 0.0000 0.0000 0.0000
Li 3.5025 3.5025 3.5025

---

Entry 11:
4
Lattice="-1.4986 -2.4469 4.2395 -2.3579 2.5753 3.7437 -4.9833 -0.7650 0.8877" Properties=species:S:1:pos:R:3 comment="LiMgTl2 (PBE, relaxed)" dft_energy_ev_per_cell=-8.84 e_form_ev_per_atom=-0.150 pbc="T T T"
Li -4.4199 -0.3183 4.4354
Tl -2.2100 -0.1592 2.2177
Tl -6.6299 -0.4775 6.6531
Mg 0.0000 0.0000 0.0000

---

Entry 12:
4
Lattice="0.0000 3.4260 3.4260 3.4260 0.0000 3.4260 3.4260 3.4260 0.0000" Properties=species:S:1:pos:R:3 comment="Li2MgTl (PBE, relaxed)" dft_energy_ev_per_cell=-8.63 e_form_ev_per_atom=-0.213 pbc="T T T"
Mg 1.7130 1.7130 1.7130
Li 5.1390 5.1390 5.1390
Li 3.4260 3.4260 3.4260
Tl 0.0000 0.0000 0.0000